[1]
Below is Li3MnVP3O12 after structural relaxation, with properties calculated at the GGA+U level.

a b c (Å): 8.524 12.075 8.751
angles (deg): 90.07 89.87 91.37
Fractional coordinates of all 80 atoms:
Li (0.064, 0.345, 0.517)
Li (0.079, 0.691, 0.085)
Li (0.179, 0.178, 0.780)
Li (0.322, 0.323, 0.282)
Li (0.421, 0.809, 0.583)
Li (0.436, 0.155, 0.013)
Li (0.565, 0.847, 0.984)
Li (0.582, 0.191, 0.414)
Li (0.683, 0.677, 0.721)
Li (0.820, 0.823, 0.219)
Li (0.920, 0.308, 0.915)
Li (0.936, 0.653, 0.489)
Mn (0.255, 0.606, 0.529)
Mn (0.746, 0.609, 0.038)
Mn (0.753, 0.891, 0.536)
Mn (0.755, 0.105, 0.972)
V (0.244, 0.894, 0.023)
V (0.245, 0.108, 0.462)
V (0.256, 0.393, 0.967)
V (0.744, 0.395, 0.475)
P (0.044, 0.490, 0.252)
P (0.115, 0.849, 0.381)
P (0.115, 0.145, 0.112)
P (0.384, 0.653, 0.879)
P (0.385, 0.351, 0.610)
P (0.455, 0.011, 0.745)
P (0.540, 0.991, 0.248)
P (0.615, 0.647, 0.389)
P (0.615, 0.353, 0.118)
P (0.885, 0.849, 0.891)
P (0.885, 0.149, 0.618)
P (0.957, 0.509, 0.754)
O (0.055, 0.897, 0.898)
O (0.051, 0.444, 0.873)
O (0.052, 0.601, 0.670)
O (0.061, 0.185, 0.576)
O (0.106, 0.581, 0.364)
O (0.129, 0.836, 0.203)
O (0.138, 0.974, 0.419)
O (0.131, 0.246, 0.996)
O (0.178, 0.185, 0.271)
O (0.188, 0.432, 0.177)
O (0.232, 0.782, 0.471)
O (0.236, 0.060, 0.049)
O (0.264, 0.433, 0.548)
O (0.267, 0.725, 0.969)
O (0.307, 0.065, 0.672)
O (0.330, 0.314, 0.772)
O (0.357, 0.530, 0.920)
O (0.375, 0.250, 0.496)
O (0.374, 0.667, 0.702)
O (0.393, 0.919, 0.859)
O (0.439, 0.901, 0.162)
O (0.441, 0.315, 0.080)
O (0.447, 0.602, 0.387)
O (0.445, 0.055, 0.369)
O (0.544, 0.945, 0.626)
O (0.554, 0.397, 0.606)
O (0.555, 0.692, 0.915)
O (0.548, 0.102, 0.830)
O (0.597, 0.085, 0.138)
O (0.628, 0.334, 0.296)
O (0.629, 0.745, 0.508)
O (0.633, 0.477, 0.087)
O (0.676, 0.689, 0.231)
O (0.684, 0.936, 0.318)
O (0.730, 0.283, 0.028)
O (0.736, 0.561, 0.450)
O (0.765, 0.932, 0.952)
O (0.771, 0.224, 0.530)
O (0.810, 0.561, 0.826)
O (0.835, 0.809, 0.731)
O (0.877, 0.750, 0.008)
O (0.861, 0.027, 0.580)
O (0.879, 0.168, 0.795)
O (0.897, 0.417, 0.641)
O (0.944, 0.810, 0.416)
O (0.946, 0.400, 0.338)
O (0.956, 0.555, 0.132)
O (0.948, 0.102, 0.115)

energy above the lowest structure with this stoichiometry = 22.8 meV per atom
formation energy = -2633 meV per atom

[2]
Below is Li3MnVP3O12 after structural relaxation, with properties calculated at the GGA+U level.

a b c (Å): 8.570 8.733 12.114
angles (deg): 89.82 88.24 89.26
Fractional coordinates of all 80 atoms:
Li (0.936, 0.513, 0.345)
Li (0.918, 0.088, 0.691)
Li (0.821, 0.780, 0.177)
Li (0.681, 0.280, 0.322)
Li (0.579, 0.586, 0.810)
Li (0.565, 0.013, 0.154)
Li (0.435, 0.986, 0.846)
Li (0.421, 0.415, 0.191)
Li (0.319, 0.719, 0.678)
Li (0.179, 0.220, 0.823)
Li (0.081, 0.916, 0.309)
Li (0.063, 0.484, 0.654)
Mn (0.754, 0.464, 0.108)
Mn (0.253, 0.471, 0.394)
Mn (0.246, 0.536, 0.891)
Mn (0.248, 0.970, 0.105)
V (0.756, 0.026, 0.895)
V (0.743, 0.527, 0.605)
V (0.746, 0.965, 0.391)
V (0.255, 0.035, 0.610)
P (0.959, 0.247, 0.490)
P (0.883, 0.382, 0.848)
P (0.886, 0.111, 0.146)
P (0.614, 0.883, 0.652)
P (0.616, 0.611, 0.352)
P (0.544, 0.747, 0.010)
P (0.454, 0.249, 0.990)
P (0.383, 0.390, 0.650)
P (0.386, 0.119, 0.351)
P (0.116, 0.889, 0.852)
P (0.117, 0.620, 0.149)
P (0.043, 0.750, 0.510)
O (0.949, 0.893, 0.899)
O (0.951, 0.869, 0.444)
O (0.946, 0.664, 0.599)
O (0.947, 0.586, 0.191)
O (0.900, 0.359, 0.582)
O (0.870, 0.205, 0.831)
O (0.861, 0.419, 0.971)
O (0.874, 0.996, 0.247)
O (0.827, 0.272, 0.187)
O (0.814, 0.177, 0.436)
O (0.767, 0.472, 0.777)
O (0.765, 0.050, 0.064)
O (0.736, 0.549, 0.437)
O (0.729, 0.972, 0.722)
O (0.690, 0.676, 0.066)
O (0.675, 0.770, 0.312)
O (0.639, 0.920, 0.529)
O (0.631, 0.494, 0.253)
O (0.623, 0.706, 0.670)
O (0.602, 0.861, 0.919)
O (0.553, 0.164, 0.901)
O (0.559, 0.081, 0.311)
O (0.551, 0.392, 0.605)
O (0.542, 0.366, 0.057)
O (0.455, 0.628, 0.946)
O (0.448, 0.613, 0.397)
O (0.440, 0.922, 0.690)
O (0.447, 0.832, 0.102)
O (0.394, 0.134, 0.082)
O (0.379, 0.299, 0.334)
O (0.372, 0.507, 0.751)
O (0.364, 0.082, 0.473)
O (0.328, 0.230, 0.690)
O (0.309, 0.321, 0.934)
O (0.270, 0.031, 0.282)
O (0.262, 0.453, 0.568)
O (0.238, 0.950, 0.932)
O (0.235, 0.531, 0.218)
O (0.186, 0.821, 0.565)
O (0.170, 0.728, 0.811)
O (0.124, 0.005, 0.751)
O (0.136, 0.584, 0.025)
O (0.126, 0.800, 0.165)
O (0.103, 0.637, 0.416)
O (0.054, 0.417, 0.809)
O (0.053, 0.332, 0.398)
O (0.050, 0.125, 0.553)
O (0.054, 0.111, 0.101)

energy above the lowest structure with this stoichiometry = 16.4 meV per atom
formation energy = -2639 meV per atom

> What is the formula in the second record?

Li3MnVP3O12

> Which of these has the highest energy above the lowest structure with this stoichiometry?

number 1